Material: Sr2La2FeCu3O10
Method: DFT, PBE with a Hubbard U
State: optimized geometry

CIF file:
```
data_Sr2La2FeCu3O10
_symmetry_space_group_name_H-M 'P b a m'
_symmetry_Int_Tables_number 55
_symmetry_space_group_name_Hall '-P 2 2ab'
_cell_length_a 10.7017
_cell_length_b 10.7816
_cell_length_c 3.9910
_cell_angle_alpha 90.00
_cell_angle_beta 90.00
_cell_angle_gamma 90.00
loop_
_atom_site_label
_atom_site_type_symbol
_atom_site_fract_x
_atom_site_fract_y
_atom_site_fract_z
Sr1 Sr 0.0184 0.2485 0.0000
La1 La 0.2450 0.9715 0.0000
Fe1 Fe 0.0000 0.0000 0.5000
Cu1 Cu 0.0000 0.5000 0.5000
Cu2 Cu 0.2320 0.7287 0.5000
O1 O 0.0000 0.0000 0.0000
O2 O 0.0000 0.5000 0.0000
O3 O 0.1028 0.8465 0.5000
O4 O 0.1284 0.3836 0.5000
O5 O 0.1648 0.0893 0.5000
O6 O 0.2321 0.7281 0.0000
```

Output
As for the crystal system: orthorhombic. The value obtained for the formation energy is -2.39 eV per atom.